No. 1
NaMnH3C3O6 after structural relaxation. Source: Materials Project, functional GGA+U.

For the size of the total moment, the calculation gives 0.357 μB per atom. The space group is P2_13, No. 198. The value obtained for the formation enthalpy at 0 K is -1.479 eV/atom.

```
NaMnH3C3O6
1.0
9.428 0.000 0.000
0.000 9.428 0.000
0.000 0.000 9.428
O H C Na Mn
24 12 12 4 4
Cartesian
0.705 7.470 5.459 O
2.041 8.817 1.440 O
6.754 5.325 7.988 O
5.419 6.671 3.969 O
1.440 2.041 8.817 O
0.745 4.009 1.958 O
7.470 5.459 0.705 O
8.817 1.440 2.041 O
8.723 2.756 8.683 O
3.969 5.419 6.671 O
2.673 0.611 6.154 O
2.756 8.683 8.723 O
0.611 6.154 2.673 O
6.671 3.969 5.419 O
1.958 0.745 4.009 O
6.154 2.673 0.611 O
7.988 6.754 5.325 O
7.387 4.103 3.274 O
5.459 0.705 7.470 O
8.683 8.723 2.756 O
3.274 7.387 4.103 O
4.009 1.958 0.745 O
4.103 3.274 7.387 O
5.325 7.988 6.754 O
4.414 7.499 2.425 H
6.643 7.003 9.128 H
5.014 2.785 2.289 H
2.289 5.014 2.785 H
0.300 1.929 7.138 H
2.785 2.289 5.014 H
9.128 6.643 7.003 H
7.003 9.128 6.643 H
7.138 0.300 1.929 H
7.499 2.425 4.414 H
2.425 4.414 7.499 H
1.929 7.138 0.300 H
2.238 8.204 0.347 C
8.204 0.347 2.238 C
6.952 5.938 9.081 C
1.224 5.061 2.475 C
5.061 2.475 1.224 C
0.347 2.238 8.204 C
7.189 3.490 4.367 C
5.938 9.081 6.952 C
3.490 4.367 7.189 C
9.081 6.952 5.938 C
4.367 7.189 3.490 C
2.475 1.224 5.061 C
2.962 7.676 6.466 Na
1.752 1.752 1.752 Na
6.466 2.962 7.676 Na
7.676 6.466 2.962 Na
1.286 8.142 3.428 Mn
3.428 1.286 8.142 Mn
8.142 3.428 1.286 Mn
6.000 6.000 6.000 Mn
```

No. 2
Li2Mn2FeP3O12 after structural relaxation. Source: Materials Project, functional GGA+U.

For the size of the total moment, the calculation gives 0.650 μB per atom. The space group is C2, No. 5. The value obtained for the formation enthalpy at 0 K is -2.458 eV/atom.

```
Li2Mn2FeP3O12
1.0
4.479 7.360 0.000
-4.479 7.360 0.000
0.000 4.191 7.173
O Li P Fe Mn
24 4 6 2 4
Cartesian
-0.755 13.648 2.308 O
0.516 8.327 3.035 O
1.393 5.559 3.510 O
3.252 8.845 1.444 O
-1.320 10.111 2.526 O
-1.320 8.799 4.646 O
0.624 15.616 5.837 O
2.950 7.839 4.594 O
3.252 10.066 5.729 O
1.211 12.846 1.139 O
-0.755 5.262 4.865 O
0.624 3.294 1.335 O
1.551 12.147 6.088 O
-1.492 11.230 0.001 O
1.393 13.351 3.663 O
-3.202 7.884 2.075 O
-3.202 11.027 5.098 O
1.211 6.064 6.033 O
0.516 10.583 4.137 O
-0.251 8.576 0.432 O
-1.492 7.681 7.171 O
-0.251 10.334 6.741 O
1.551 6.763 1.085 O
2.950 11.071 2.578 O
0.453 10.767 0.703 Li
-3.045 9.455 3.586 Li
3.249 7.360 0.000 Li
0.453 8.144 6.470 Li
0.561 7.360 0.000 P
0.831 5.121 4.880 P
-0.919 15.933 5.791 P
-0.919 2.977 1.382 P
-0.361 9.455 3.586 P
0.831 13.789 2.293 P
-2.252 12.066 1.853 Fe
-2.252 6.844 5.320 Fe
-2.238 9.149 0.681 Mn
2.237 7.502 2.825 Mn
2.237 11.409 4.348 Mn
-2.238 9.761 6.492 Mn
```

No. 3
MgAs2WO7 after structural relaxation. Source: Materials Project, functional GGA+U.

For the size of the total moment, the calculation gives 0.000 μB per atom. The space group is P2_1/c, No. 14. The value obtained for the formation enthalpy at 0 K is -2.007 eV/atom.

```
MgAs2WO7
1.0
10.221 0.000 0.000
0.000 7.239 0.000
0.000 5.013 9.428
As O Mg W
8 28 4 4
Cartesian
2.781 6.591 6.659 As
3.395 7.090 0.043 As
6.827 5.162 9.385 As
1.716 9.597 4.757 As
7.892 8.168 7.483 As
8.506 2.656 4.671 As
7.440 5.661 2.769 As
2.330 4.084 1.945 As
10.155 6.074 2.830 O
2.987 10.600 8.422 O
2.469 8.396 7.166 O
3.484 9.886 5.167 O
10.131 1.500 2.095 O
6.737 2.366 4.260 O
8.595 4.873 8.974 O
9.343 8.123 8.527 O
5.990 5.616 3.813 O
6.607 6.099 1.159 O
8.725 8.606 5.873 O
8.098 4.159 5.720 O
5.178 8.580 7.544 O
7.234 1.653 1.006 O
0.090 10.752 7.333 O
7.752 3.856 2.262 O
7.580 6.363 6.975 O
0.879 4.130 0.901 O
5.044 3.672 1.884 O
0.067 6.178 6.598 O
2.124 8.093 3.708 O
1.626 7.379 0.454 O
5.020 8.246 2.619 O
5.201 4.006 6.809 O
4.232 6.636 5.615 O
2.641 5.889 2.452 O
1.496 3.646 3.555 O
3.614 6.153 8.269 O
0.881 9.179 8.288 Mg
9.341 3.073 1.140 Mg
5.992 5.579 5.854 Mg
4.230 6.673 3.574 Mg
1.039 7.321 2.302 W
4.072 9.827 7.016 W
9.183 4.932 7.126 W
6.149 2.425 2.412 W
```

No. 4
Sr4Fe2MoWO12 after structural relaxation. Source: Materials Project, functional GGA+U.

For the size of the total moment, the calculation gives 0.600 μB per atom. The space group is P-1, No. 2. The value obtained for the formation enthalpy at 0 K is -2.579 eV/atom.

```
Sr4Fe2MoWO12
1.0
5.636 0.000 0.000
-2.799 -4.945 0.000
-2.807 1.434 -9.316
O Mo Sr W Fe
12 1 4 1 2
Cartesian
-2.955 -1.736 -8.386 O
-1.407 0.568 -8.205 O
-1.383 -2.513 -3.417 O
1.437 -4.079 -1.111 O
0.229 -3.586 -5.719 O
-2.600 -3.326 -6.023 O
2.631 -0.185 -3.293 O
1.413 -0.999 -5.899 O
0.239 -1.575 -1.267 O
-0.198 0.075 -3.597 O
-0.209 -1.936 -8.049 O
2.985 -1.775 -0.930 O
1.415 0.717 -4.658 Mo
1.418 -2.546 -3.587 Sr
-1.402 -4.129 -1.281 Sr
-1.387 -0.965 -5.729 Sr
1.433 0.618 -8.035 Sr
1.418 -2.473 0.000 W
1.443 -2.630 -6.954 Fe
-1.413 -0.881 -2.362 Fe
```

No. 5
NaCr6O11 after structural relaxation. Source: Materials Project, functional GGA+U.

For the size of the total moment, the calculation gives 0.833 μB per atom. The space group is P6_3/mmc, No. 194. The value obtained for the formation enthalpy at 0 K is -2.148 eV/atom.

```
NaCr6O11
1.0
2.912 -5.044 0.000
2.912 5.044 0.000
0.000 0.000 13.000
O Cr Na
22 12 2
Cartesian
4.291 0.885 1.009 O
4.291 -0.885 7.509 O
4.291 0.885 5.491 O
2.912 -3.273 7.509 O
2.912 1.681 11.870 O
1.348 -0.778 3.250 O
1.533 0.885 1.009 O
2.912 -1.681 5.370 O
1.348 0.778 9.750 O
1.533 0.885 5.491 O
2.912 -3.273 11.991 O
2.912 1.681 7.630 O
2.912 3.487 9.750 O
4.476 0.778 9.750 O
2.912 -3.487 3.250 O
2.912 3.273 5.491 O
2.912 -1.681 1.130 O
4.291 -0.885 11.991 O
4.476 -0.778 3.250 O
2.912 3.273 1.009 O
1.533 -0.885 11.991 O
1.533 -0.885 7.509 O
2.912 0.000 0.000 Cr
0.000 0.000 4.604 Cr
1.456 -2.522 0.000 Cr
1.456 -2.522 6.500 Cr
2.912 0.000 6.500 Cr
2.912 1.681 9.750 Cr
0.000 0.000 11.104 Cr
0.000 0.000 1.896 Cr
1.456 2.522 0.000 Cr
2.912 -1.681 3.250 Cr
1.456 2.522 6.500 Cr
0.000 0.000 8.395 Cr
2.912 1.681 3.250 Na
2.912 -1.681 9.750 Na
```

No. 6
Rb2Pr2MgW4O16 after structural relaxation. Source: Materials Project, functional GGA+U.

For the size of the total moment, the calculation gives 0.080 μB per atom. The space group is C2, No. 5. The relative energy among the computed polymorphs is 25 meV/atom. The value obtained for the formation enthalpy at 0 K is -2.559 eV/atom.

```
Rb2Pr2MgW4O16
1.0
3.100 -7.282 -0.436
0.125 1.100 -7.848
6.726 -0.668 -3.455
O W Rb Pr Mg
16 4 2 2 1
Cartesian
7.537 -6.615 -9.018 O
7.683 -2.749 -5.135 O
3.914 -1.668 -4.503 O
3.830 -6.143 -5.672 O
5.979 -5.415 -7.464 O
4.946 -2.767 -6.926 O
8.735 -4.809 -7.085 O
3.751 -4.812 -8.633 O
6.266 -1.946 -3.229 O
6.093 -0.665 -5.995 O
2.330 -3.878 -6.366 O
2.282 -0.140 -2.762 O
5.190 -4.098 -4.858 O
7.771 -2.737 -8.026 O
6.300 -3.926 -9.765 O
3.683 -2.979 -2.035 O
4.227 -4.639 -6.756 W
7.557 -4.789 -8.650 W
2.422 -2.050 -3.103 W
5.691 -2.207 -4.982 W
2.573 -1.226 -6.803 Rb
7.486 -5.928 -4.667 Rb
4.030 -5.332 -3.171 Pr
5.863 -1.356 -8.710 Pr
1.826 0.875 -8.661 Mg
```

No. 7
CaVCuHO5 after structural relaxation. Source: Materials Project, functional GGA+U.

For the size of the total moment, the calculation gives 0.111 μB per atom. The space group is P2_12_12_1, No. 19. The value obtained for the formation enthalpy at 0 K is -2.182 eV/atom.

```
CaVCuHO5
1.0
5.858 0.000 0.000
0.000 7.443 0.000
0.000 0.000 9.534
O Ca H Cu V
20 4 4 4 4
Cartesian
4.440 2.683 2.331 O
4.379 0.780 7.377 O
5.449 5.229 0.532 O
2.885 6.941 5.160 O
1.511 1.038 7.203 O
0.409 1.508 4.235 O
2.930 4.510 4.127 O
0.044 0.502 0.393 O
5.814 4.224 4.374 O
5.857 2.933 8.894 O
0.001 6.655 5.407 O
2.973 3.219 9.140 O
1.418 6.405 2.436 O
2.928 0.789 0.640 O
4.408 6.663 2.610 O
2.520 5.935 9.002 O
4.347 4.760 7.098 O
1.479 4.502 6.924 O
3.338 2.214 5.299 O
1.450 2.941 2.157 O
0.129 6.480 7.811 Ca
3.058 4.685 1.723 Ca
2.800 0.963 3.044 Ca
5.729 2.758 6.490 Ca
5.787 3.818 9.371 H
3.000 3.625 4.604 H
2.858 7.346 0.163 H
0.071 0.097 4.930 H
4.372 5.606 4.780 Cu
4.415 1.837 0.014 Cu
1.486 1.884 9.520 Cu
1.443 5.559 4.753 Cu
5.786 6.575 1.558 V
3.001 0.868 6.325 V
0.072 2.853 3.209 V
2.857 4.590 7.976 V
```

No. 8
CaNd3Cr4O16 after structural relaxation. Source: Materials Project, functional GGA+U.

For the size of the total moment, the calculation gives 0.125 μB per atom. The space group is P-4m2, No. 115. The value obtained for the formation enthalpy at 0 K is -2.653 eV/atom.

```
CaNd3Cr4O16
1.0
7.423 0.000 0.000
0.000 7.423 0.000
0.000 0.000 6.405
O Cr Nd Ca
16 4 3 1
Cartesian
0.000 2.381 0.502 O
0.000 1.343 4.282 O
5.042 0.000 5.903 O
3.712 2.399 1.022 O
3.712 6.075 3.720 O
3.712 5.024 1.022 O
6.080 0.000 2.122 O
2.399 3.712 5.383 O
0.000 6.080 4.282 O
6.075 3.712 2.684 O
1.343 0.000 2.122 O
3.712 1.348 3.720 O
2.381 0.000 5.903 O
0.000 5.042 0.502 O
1.348 3.712 2.684 O
5.024 3.712 5.383 O
3.712 3.712 0.000 Cr
0.000 3.712 1.624 Cr
0.000 0.000 3.202 Cr
3.712 0.000 4.781 Cr
0.000 0.000 0.000 Nd
0.000 3.712 4.793 Nd
3.712 0.000 1.612 Nd
3.712 3.712 3.202 Ca
```

- Which of these has the lowest formation enthalpy at 0 K?
  CaNd3Cr4O16

What did the eighth record say?
CaNd3Cr4O16 after structural relaxation. Source: Materials Project, functional GGA+U.

For the size of the total moment, the calculation gives 0.125 μB per atom. The space group is P-4m2, No. 115. The value obtained for the formation enthalpy at 0 K is -2.653 eV/atom.

```
CaNd3Cr4O16
1.0
7.423 0.000 0.000
0.000 7.423 0.000
0.000 0.000 6.405
O Cr Nd Ca
16 4 3 1
Cartesian
0.000 2.381 0.502 O
0.000 1.343 4.282 O
5.042 0.000 5.903 O
3.712 2.399 1.022 O
3.712 6.075 3.720 O
3.712 5.024 1.022 O
6.080 0.000 2.122 O
2.399 3.712 5.383 O
0.000 6.080 4.282 O
6.075 3.712 2.684 O
1.343 0.000 2.122 O
3.712 1.348 3.720 O
2.381 0.000 5.903 O
0.000 5.042 0.502 O
1.348 3.712 2.684 O
5.024 3.712 5.383 O
3.712 3.712 0.000 Cr
0.000 3.712 1.624 Cr
0.000 0.000 3.202 Cr
3.712 0.000 4.781 Cr
0.000 0.000 0.000 Nd
0.000 3.712 4.793 Nd
3.712 0.000 1.612 Nd
3.712 3.712 3.202 Ca
```

Please write out number 6 again, unchanged.
Rb2Pr2MgW4O16 after structural relaxation. Source: Materials Project, functional GGA+U.

For the size of the total moment, the calculation gives 0.080 μB per atom. The space group is C2, No. 5. The relative energy among the computed polymorphs is 25 meV/atom. The value obtained for the formation enthalpy at 0 K is -2.559 eV/atom.

```
Rb2Pr2MgW4O16
1.0
3.100 -7.282 -0.436
0.125 1.100 -7.848
6.726 -0.668 -3.455
O W Rb Pr Mg
16 4 2 2 1
Cartesian
7.537 -6.615 -9.018 O
7.683 -2.749 -5.135 O
3.914 -1.668 -4.503 O
3.830 -6.143 -5.672 O
5.979 -5.415 -7.464 O
4.946 -2.767 -6.926 O
8.735 -4.809 -7.085 O
3.751 -4.812 -8.633 O
6.266 -1.946 -3.229 O
6.093 -0.665 -5.995 O
2.330 -3.878 -6.366 O
2.282 -0.140 -2.762 O
5.190 -4.098 -4.858 O
7.771 -2.737 -8.026 O
6.300 -3.926 -9.765 O
3.683 -2.979 -2.035 O
4.227 -4.639 -6.756 W
7.557 -4.789 -8.650 W
2.422 -2.050 -3.103 W
5.691 -2.207 -4.982 W
2.573 -1.226 -6.803 Rb
7.486 -5.928 -4.667 Rb
4.030 -5.332 -3.171 Pr
5.863 -1.356 -8.710 Pr
1.826 0.875 -8.661 Mg
```

- Look up the size of the total moment of the fourth one.
  0.600 μB per atom